Record 1
Below is crystalline Tb6IrBr10 at its relaxed geometry, with properties calculated at the r2SCAN level.

Unit cell a=7.3488 b=9.1045 c=9.2536 alpha=108.53 beta=97.18 gamma=105.76
Positions (direct):
Tb  0.3687  0.1407  0.1837
Tb  0.8740  0.9527  0.2504
Br  0.6428  0.5386  0.7239
Br  0.7423  0.9129  0.5391
Br  0.2055  0.7378  0.6479
Br  0.5498  0.1807  0.9158
Tb  0.9713  0.2956  0.0913
Ir  0.0000  0.0000  0.0000
Tb  0.1260  0.0473  0.7496
Br  0.0883  0.3721  0.8259
Br  0.9117  0.6279  0.1741
Br  0.7945  0.2622  0.3521
Tb  0.6313  0.8593  0.8163
Tb  0.0287  0.7044  0.9087
Br  0.3572  0.4614  0.2761
Br  0.4502  0.8193  0.0842
Br  0.2577  0.0871  0.4609

Output
**Symmetry**: P-1 (2)

=====

Record 2
Below is crystalline VPO5 at its relaxed geometry, with properties calculated at the r2SCAN level.

Unit cell a=5.0167 b=10.4096 c=7.3300 alpha=66.21 beta=69.96 gamma=76.09
Positions (direct):
O  0.3301  0.0864  0.8330
V  0.9874  0.5261  0.0101
O  0.1649  0.4077  0.2177
O  0.6805  0.4089  0.6693
O  0.6804  0.1647  0.9665
P  0.6170  0.0555  0.1864
P  0.3887  0.9413  0.8119
O  0.1845  0.3237  0.9142
O  0.6614  0.4362  0.1673
O  0.6892  0.6649  0.4673
O  0.2343  0.9362  0.6680
O  0.3464  0.5834  0.8240
O  0.8684  0.5663  0.7745
V  0.9774  0.0263  0.5097
O  0.8717  0.1653  0.5707
O  0.3558  0.3274  0.5222
O  0.7492  0.0839  0.3225
O  0.7098  0.9079  0.7164
P  0.6427  0.5554  0.6870
O  0.2513  0.5864  0.3330
O  0.7428  0.9088  0.1693
O  0.2958  0.8273  0.0221
P  0.3582  0.4413  0.3121
V  0.4605  0.2599  0.7736
O  0.2931  0.0665  0.2747
O  0.8928  0.6652  0.0711
O  0.0792  0.8241  0.4137
V  0.0071  0.7599  0.2737

Output
**Symmetry**: P1 (1)
**Excess energy over the best structure of this formula in the dataset**: 14.1 meV per atom

=====

Record 3
Below is crystalline LiMnPt2 at its relaxed geometry, with properties calculated at the r2SCAN level.

Unit cell a=4.2855 b=4.2870 c=4.2862 alpha=59.99 beta=60.00 gamma=59.99
Positions (direct):
Pt  0.5002  0.4999  0.5000
Pt  0.9998  0.0001  0.0000
Mn  0.7500  0.7500  0.7500
Li  0.2500  0.2500  0.2500

Output
**Symmetry**: Fm-3m (225)

=====

ΔH_f (0 K) per entry: -1.90 -2.41 -0.70 eV/atom